Computed, not measured: a geometry-optimized Li3GaF6 structure at the PBE level of DFT.

Results
Energy relative to the elements, eV per atom: -2.92
Offset from the most stable computed form, eV/atom: 0.193
Calculated density, kg/m3: 2973

Unit cell a=5.4466 b=5.4466 c=5.4466 alpha=60.00 beta=60.00 gamma=60.00
Last column: nearest neighbours and their distance in Å.
Sites, in units of the cell vectors:
Li (0.5000, 0.5000, 0.5000)  6 F 1.96
Li (0.7500, 0.7500, 0.7500)  12 F 2.72
Li (0.2500, 0.2500, 0.2500)  12 F 2.72
F (0.7539, 0.2461, 0.2461)  1 Ga 1.90, 1 Li 1.96
F (0.2461, 0.2461, 0.7539)  1 Ga 1.90, 1 Li 1.96
F (0.7539, 0.2461, 0.7539)  1 Ga 1.90, 1 Li 1.96
F (0.2461, 0.7539, 0.2461)  1 Ga 1.90, 1 Li 1.96
F (0.7539, 0.7539, 0.2461)  1 Ga 1.90, 1 Li 1.96
F (0.2461, 0.7539, 0.7539)  1 Ga 1.90, 1 Li 1.96
Ga (0.0000, 0.0000, 0.0000)  6 F 1.90